Entry from the Materials Project database: a relaxed Rb2NaNdI6 crystal (GGA-PBE).

a = 8.8324 Å, b = 8.8324 Å, c = 8.8324 Å
α = 60.00°, β = 60.00°, γ = 60.00°
Closest atoms and distances in Å follow each position.
Fractional coordinates of all 10 atoms:
Rb 0.2500 0.2500 0.2500  12 I 4.42
Rb 0.7500 0.7500 0.7500  12 I 4.42
Na 0.0000 0.0000 0.0000  6 I 3.14
Nd 0.5000 0.5000 0.5000  6 I 3.10
I 0.2517 0.2517 0.7483  1 Nd 3.10, 1 Na 3.14
I 0.2517 0.7483 0.2517  1 Nd 3.10, 1 Na 3.14
I 0.2517 0.7483 0.7483  1 Nd 3.10, 1 Na 3.14
I 0.7483 0.2517 0.2517  1 Nd 3.10, 1 Na 3.14
I 0.7483 0.2517 0.7483  1 Nd 3.10, 1 Na 3.14
I 0.7483 0.7483 0.2517  1 Nd 3.10, 1 Na 3.14

Properties
M_tot (μB per cell): 0.00
MP2020-corrected energy (eV/atom): -3.35

***

Entry from the Materials Project database: a relaxed Na10NbGaAs6 crystal (GGA-PBE).

a = 8.3963 Å, b = 7.5551 Å, c = 15.9430 Å
α = 90.00°, β = 120.78°, γ = 90.00°
Closest atoms and distances in Å follow each position.
Fractional coordinates of all 36 atoms:
Na 0.0000 0.0896 0.0000  4 As 2.96-3.12, 1 Na 3.31
Na 0.0000 0.9104 0.5000  4 As 2.96-3.12, 1 Na 3.31
Na 0.0112 0.4037 0.1599  4 As 2.95-3.01
Na 0.0112 0.5963 0.6599  4 As 2.95-3.01
Na 0.0995 0.2711 0.8366  4 As 2.99-3.31
Na 0.0995 0.7289 0.3366  4 As 2.99-3.31
Na 0.2900 0.2303 0.6759  3 As 2.97-3.24, 1 Na 3.29
Na 0.2900 0.7697 0.1759  3 As 2.97-3.24, 1 Na 3.29
Na 0.4034 0.2640 0.1623  3 As 2.99-3.19, 1 Ga 3.29, 1 Na 3.31
Na 0.4034 0.7360 0.6623  3 As 2.99-3.19, 1 Ga 3.29, 1 Na 3.31
Na 0.5928 0.2227 0.9969  4 As 3.02-3.26, 1 Na 3.37
Na 0.5928 0.7773 0.4969  4 As 3.02-3.26, 1 Na 3.37
Na 0.6823 0.0927 0.6772  4 As 2.94-2.97
Na 0.6823 0.9073 0.1772  4 As 2.94-2.97
Na 0.6900 0.4076 0.8358  4 As 2.98-3.10, 1 Na 3.29
Na 0.6900 0.5924 0.3358  4 As 2.98-3.10, 1 Na 3.29
Na 0.7650 0.2620 0.5067  5 As 3.05-3.36, 3 Na 3.34-3.38
Na 0.7650 0.7380 0.0067  5 As 3.05-3.36, 3 Na 3.34-3.38
Na 0.9259 0.2324 0.3265  5 As 3.12-3.40, 4 Na 3.30-3.49, 1 Nb 3.43, 1 Ga 3.49
Na 0.9259 0.7676 0.8265  5 As 3.12-3.40, 4 Na 3.30-3.49, 1 Nb 3.43, 1 Ga 3.49
Nb 0.3578 0.3830 0.4966  4 As 2.51-2.52
Nb 0.3578 0.6170 0.9966  4 As 2.51-2.52
Ga 0.3340 0.1103 0.3340  4 As 2.51-2.63
Ga 0.3340 0.8897 0.8340  4 As 2.51-2.63
As 0.0297 0.0176 0.1898  1 Ga 2.51
As 0.0297 0.9824 0.6898  1 Ga 2.51
As 0.0792 0.4926 0.9968  1 Nb 2.52
As 0.0792 0.5074 0.4968  1 Nb 2.52
As 0.3272 0.0527 0.4925  1 Nb 2.51, 1 Ga 2.59
As 0.3272 0.9473 0.9925  1 Nb 2.51, 1 Ga 2.59
As 0.3661 0.4567 0.3451  1 Nb 2.51, 1 Ga 2.63
As 0.3661 0.5433 0.8451  1 Nb 2.51, 1 Ga 2.63
As 0.6206 0.0050 0.8398  1 Ga 2.52
As 0.6206 0.9950 0.3398  1 Ga 2.52
As 0.6555 0.4806 0.6436  1 Nb 2.51
As 0.6555 0.5194 0.1436  1 Nb 2.51

Properties
M_tot (μB per cell): 0.00
Raw total energy (eV per atom): -3.4905

***

Entry from the Materials Project database: a relaxed Y2Au crystal (GGA-PBE).

a = 7.1823 Å, b = 4.9828 Å, c = 8.9995 Å
α = 90.00°, β = 90.00°, γ = 90.00°
Closest atoms and distances in Å follow each position.
Fractional coordinates of all 12 atoms:
Y 0.0156 0.2500 0.1760  3 Au 2.97-3.18
Y 0.1480 0.2500 0.5806  4 Au 2.92-3.08
Y 0.3520 0.7500 0.0806  4 Au 2.92-3.08
Y 0.4844 0.7500 0.6760  3 Au 2.97-3.18
Y 0.5156 0.2500 0.3240  3 Au 2.97-3.18
Y 0.6480 0.2500 0.9194  4 Au 2.92-3.08
Y 0.8520 0.7500 0.4194  4 Au 2.92-3.08
Y 0.9844 0.7500 0.8240  3 Au 2.97-3.18
Au 0.2425 0.2500 0.9000  7 Y 2.92-3.18
Au 0.2575 0.7500 0.4000  7 Y 2.92-3.18
Au 0.7425 0.2500 0.6000  7 Y 2.92-3.18
Au 0.7575 0.7500 0.1000  7 Y 2.92-3.18

Properties
Raw total energy (eV per atom): -6.0489

***

Entry from the Materials Project database: a relaxed HfFeAs crystal (GGA-PBE).

a = 6.3976 Å, b = 3.8948 Å, c = 7.2019 Å
α = 90.00°, β = 90.00°, γ = 90.00°
Closest atoms and distances in Å follow each position.
Fractional coordinates of all 12 atoms:
Hf 0.0161 0.2500 0.1868  5 As 2.74-2.75, 6 Fe 2.83-3.03
Hf 0.4839 0.7500 0.6868  5 As 2.74-2.75, 6 Fe 2.83-3.03
Hf 0.5161 0.2500 0.3132  5 As 2.74-2.75, 6 Fe 2.83-3.03
Hf 0.9839 0.7500 0.8132  5 As 2.74-2.75, 6 Fe 2.83-3.03
Fe 0.1498 0.2500 0.5616  4 As 2.38-2.46
Fe 0.3502 0.7500 0.0616  4 As 2.38-2.46
Fe 0.6498 0.2500 0.9384  4 As 2.38-2.46
Fe 0.8502 0.7500 0.4384  4 As 2.38-2.46
As 0.2223 0.7500 0.3831  4 Fe 2.38-2.46
As 0.2777 0.2500 0.8831  4 Fe 2.38-2.46
As 0.7223 0.7500 0.1169  4 Fe 2.38-2.46
As 0.7777 0.2500 0.6169  4 Fe 2.38-2.46

Properties
Raw total energy (eV per atom): -8.4007

***

Entry from the Materials Project database: a relaxed LaIn4Au2 crystal (GGA-PBE).

a = 18.9215 Å, b = 4.7930 Å, c = 7.4684 Å
α = 90.00°, β = 90.00°, γ = 90.00°
Closest atoms and distances in Å follow each position.
Fractional coordinates of all 28 atoms:
La 0.1409 0.2500 0.0188  9 In 3.35-3.63, 4 Au 3.50-3.59
La 0.3591 0.7500 0.5188  9 In 3.35-3.63, 4 Au 3.50-3.59
La 0.6409 0.2500 0.4812  9 In 3.35-3.63, 4 Au 3.50-3.59
La 0.8591 0.7500 0.9812  9 In 3.35-3.63, 4 Au 3.50-3.59
In 0.0349 0.7500 0.8490  3 Au 2.84-2.92, 1 In 3.05
In 0.0685 0.2500 0.4897  4 Au 2.85-3.09
In 0.1841 0.7500 0.3200  4 Au 2.83-2.93, 1 In 3.06
In 0.1889 0.7500 0.7291  3 Au 2.84-2.88, 2 In 3.05-3.06
In 0.3111 0.2500 0.2291  3 Au 2.84-2.88, 2 In 3.05-3.06
In 0.3159 0.2500 0.8200  4 Au 2.83-2.93, 1 In 3.06
In 0.4315 0.7500 0.9897  4 Au 2.85-3.09
In 0.4651 0.2500 0.3490  3 Au 2.84-2.92, 1 In 3.05
In 0.5349 0.7500 0.6510  3 Au 2.84-2.92, 1 In 3.05
In 0.5685 0.2500 0.0103  4 Au 2.85-3.09
In 0.6841 0.7500 0.1800  4 Au 2.83-2.93, 1 In 3.06
In 0.6889 0.7500 0.7709  3 Au 2.84-2.88, 2 In 3.05-3.06
In 0.8111 0.2500 0.2709  3 Au 2.84-2.88, 2 In 3.05-3.06
In 0.8159 0.2500 0.6800  4 Au 2.83-2.93, 1 In 3.06
In 0.9315 0.7500 0.5103  4 Au 2.85-3.09
In 0.9651 0.2500 0.1510  3 Au 2.84-2.92, 1 In 3.05
Au 0.0380 0.7500 0.2400  7 In 2.83-3.09
Au 0.2181 0.2500 0.5284  7 In 2.84-2.93
Au 0.2819 0.7500 0.0284  7 In 2.84-2.93
Au 0.4620 0.2500 0.7400  7 In 2.83-3.09
Au 0.5380 0.7500 0.2600  7 In 2.83-3.09
Au 0.7181 0.2500 0.9716  7 In 2.84-2.93
Au 0.7819 0.7500 0.4716  7 In 2.84-2.93
Au 0.9620 0.2500 0.7600  7 In 2.83-3.09

Properties
Raw total energy (eV per atom): -3.6714

***

Entry from the Materials Project database: a relaxed La5Ti2AgS5O7 crystal (GGA-PBE).

a = 19.6973 Å, b = 3.9810 Å, c = 18.4650 Å
α = 90.00°, β = 90.00°, γ = 90.00°
Closest atoms and distances in Å follow each position.
Fractional coordinates of all 80 atoms:
La 0.0119 0.2500 0.1230  4 O 2.52-2.63
La 0.0416 0.7500 0.3044  5 O 2.34-2.58
La 0.1070 0.2500 0.4992  3 O 2.42-2.55
La 0.1816 0.7500 0.9711  4 O 2.48-2.64
La 0.1909 0.2500 0.2140  3 O 2.41-2.49
La 0.3091 0.7500 0.7140  3 O 2.41-2.49
La 0.3184 0.2500 0.4711  4 O 2.48-2.64
La 0.3930 0.7500 0.9992  3 O 2.42-2.55
La 0.4584 0.2500 0.8044  5 O 2.34-2.58
La 0.4881 0.7500 0.6230  4 O 2.52-2.63
La 0.5119 0.2500 0.3770  4 O 2.52-2.63
La 0.5416 0.7500 0.1956  5 O 2.34-2.58
La 0.6070 0.2500 0.0008  3 O 2.42-2.55
La 0.6816 0.7500 0.5289  4 O 2.48-2.64
La 0.6909 0.2500 0.2860  3 O 2.41-2.49
La 0.8091 0.7500 0.7860  3 O 2.41-2.49
La 0.8184 0.2500 0.0289  4 O 2.48-2.64
La 0.8930 0.7500 0.5008  3 O 2.42-2.55
La 0.9584 0.2500 0.6956  5 O 2.34-2.58
La 0.9881 0.7500 0.8770  4 O 2.52-2.63
Ti 0.1216 0.2500 0.8316  4 O 1.88-2.01
Ti 0.1974 0.7500 0.3876  5 O 1.83-2.01
Ti 0.3026 0.2500 0.8876  5 O 1.83-2.01
Ti 0.3784 0.7500 0.3316  4 O 1.88-2.01
Ti 0.6216 0.2500 0.6684  4 O 1.88-2.01
Ti 0.6974 0.7500 0.1124  5 O 1.83-2.01
Ti 0.8026 0.2500 0.6124  5 O 1.83-2.01
Ti 0.8784 0.7500 0.1684  4 O 1.88-2.01
Ag 0.1355 0.7500 0.6540  4 S 2.49-2.65
Ag 0.3645 0.2500 0.1540  4 S 2.49-2.65
Ag 0.6355 0.7500 0.8460  4 S 2.49-2.65
Ag 0.8645 0.2500 0.3460  4 S 2.49-2.65
S 0.0244 0.7500 0.5896  1 Ag 2.49
S 0.0672 0.2500 0.9670  1 Ti 2.72, 4 La 3.01-3.02, 1 O 3.01
S 0.1290 0.7500 0.1199  5 La 2.91-3.05
S 0.1833 0.2500 0.7218  1 Ti 2.36, 2 Ag 2.53
S 0.2203 0.7500 0.5428  1 Ag 2.65, 1 Ti 2.90
S 0.2797 0.2500 0.0428  1 Ag 2.65, 1 Ti 2.90
S 0.3167 0.7500 0.2218  1 Ti 2.36, 2 Ag 2.53
S 0.3710 0.2500 0.6199  5 La 2.91-3.05
S 0.4328 0.7500 0.4670  1 Ti 2.72, 4 La 3.01-3.02, 1 O 3.01
S 0.4756 0.2500 0.0896  1 Ag 2.49
S 0.5244 0.7500 0.9104  1 Ag 2.49
S 0.5672 0.2500 0.5330  1 Ti 2.72, 4 La 3.01-3.02, 1 O 3.01
S 0.6290 0.7500 0.3801  5 La 2.91-3.05
S 0.6833 0.2500 0.7782  1 Ti 2.36, 2 Ag 2.53
S 0.7203 0.7500 0.9572  1 Ag 2.65, 1 Ti 2.90
S 0.7797 0.2500 0.4572  1 Ag 2.65, 1 Ti 2.90
S 0.8167 0.7500 0.2782  1 Ti 2.36, 2 Ag 2.53
S 0.8710 0.2500 0.8801  5 La 2.91-3.05
S 0.9328 0.7500 0.0330  1 Ti 2.72, 4 La 3.01-3.02, 1 O 3.01
S 0.9756 0.2500 0.4104  1 Ag 2.49
O 0.0293 0.2500 0.8056  1 Ti 1.88
O 0.0726 0.2500 0.2466  4 La 2.34-2.58
O 0.1069 0.7500 0.4243  1 Ti 1.91
O 0.1183 0.7500 0.8465  2 Ti 2.01
O 0.1718 0.7500 0.2924  1 Ti 1.83
O 0.2004 0.2500 0.4032  2 Ti 2.01
O 0.2045 0.2500 0.8950  2 Ti 1.94-2.01
O 0.2955 0.7500 0.3950  2 Ti 1.94-2.01
O 0.2996 0.7500 0.9032  2 Ti 2.01
O 0.3282 0.2500 0.7924  1 Ti 1.83
O 0.3817 0.2500 0.3465  2 Ti 2.01
O 0.3931 0.2500 0.9243  1 Ti 1.91
O 0.4274 0.7500 0.7466  4 La 2.34-2.58
O 0.4707 0.7500 0.3056  1 Ti 1.88
O 0.5293 0.2500 0.6944  1 Ti 1.88
O 0.5726 0.2500 0.2534  4 La 2.34-2.58
O 0.6069 0.7500 0.0757  1 Ti 1.91
O 0.6183 0.7500 0.6535  2 Ti 2.01
O 0.6718 0.7500 0.2076  1 Ti 1.83
O 0.7004 0.2500 0.0968  2 Ti 2.01
O 0.7045 0.2500 0.6050  2 Ti 1.94-2.01
O 0.7955 0.7500 0.1050  2 Ti 1.94-2.01
O 0.7996 0.7500 0.5968  2 Ti 2.01
O 0.8282 0.2500 0.7076  1 Ti 1.83
O 0.8817 0.2500 0.1535  2 Ti 2.01
O 0.8931 0.2500 0.5757  1 Ti 1.91
O 0.9274 0.7500 0.7534  4 La 2.34-2.58
O 0.9707 0.7500 0.1944  1 Ti 1.88

Properties
M_tot (μB per cell): 0.05
MP2020-corrected energy (eV/atom): -7.99

***

Entry from the Materials Project database: a relaxed Y5Zr3Ni16As12 crystal (GGA-PBE).

a = 12.8368 Å, b = 12.8368 Å, c = 3.9394 Å
α = 90.00°, β = 90.00°, γ = 120.00°
Closest atoms and distances in Å follow each position.
Fractional coordinates of all 36 atoms:
Y 0.0000 0.8178 0.0000  6 As 2.97-3.04, 8 Ni 3.06-3.16
Y 0.1822 0.1822 0.0000  6 As 2.97-3.04, 8 Ni 3.06-3.16
Y 0.3333 0.6667 0.5000  6 As 3.00, 9 Ni 3.24-3.25
Y 0.6667 0.3333 0.5000  6 As 3.00, 9 Ni 3.24-3.25
Y 0.8178 0.0000 0.0000  6 As 2.97-3.04, 8 Ni 3.06-3.16
Zr 0.0000 0.4377 0.5000  5 As 2.66-2.80, 4 Ni 2.83-2.85
Zr 0.4377 0.0000 0.5000  5 As 2.66-2.80, 4 Ni 2.83-2.85
Zr 0.5623 0.5623 0.5000  5 As 2.66-2.80, 4 Ni 2.83-2.85
Ni 0.0000 0.0000 0.5000  3 As 2.29
Ni 0.0000 0.2770 0.0000  4 As 2.34-2.43
Ni 0.1210 0.6395 0.0000  4 As 2.41-2.53, 1 Ni 2.69
Ni 0.1821 0.3747 0.5000  4 As 2.36-2.44
Ni 0.1926 0.8179 0.5000  4 As 2.36-2.44
Ni 0.2770 0.0000 0.0000  4 As 2.34-2.43
Ni 0.3605 0.4815 0.0000  4 As 2.41-2.53, 1 Ni 2.69
Ni 0.3747 0.1821 0.5000  4 As 2.36-2.44
Ni 0.4815 0.3605 0.0000  4 As 2.41-2.53, 1 Ni 2.69
Ni 0.5185 0.8790 0.0000  4 As 2.41-2.53, 1 Ni 2.69
Ni 0.6253 0.8074 0.5000  4 As 2.36-2.44
Ni 0.6395 0.1210 0.0000  4 As 2.41-2.53, 1 Ni 2.69
Ni 0.7230 0.7230 0.0000  4 As 2.34-2.43
Ni 0.8074 0.6253 0.5000  4 As 2.36-2.44
Ni 0.8179 0.1926 0.5000  4 As 2.36-2.44
Ni 0.8790 0.5185 0.0000  4 As 2.41-2.53, 1 Ni 2.69
As 0.0000 0.1782 0.5000  5 Ni 2.29-2.44
As 0.0000 0.6451 0.5000  6 Ni 2.36-2.53
As 0.1719 0.4794 0.0000  5 Ni 2.41-2.45
As 0.1782 0.0000 0.5000  5 Ni 2.29-2.44
As 0.3075 0.8281 0.0000  5 Ni 2.41-2.45
As 0.3549 0.3549 0.5000  6 Ni 2.36-2.53
As 0.4794 0.1719 0.0000  5 Ni 2.41-2.45
As 0.5206 0.6925 0.0000  5 Ni 2.41-2.45
As 0.6451 0.0000 0.5000  6 Ni 2.36-2.53
As 0.6925 0.5206 0.0000  5 Ni 2.41-2.45
As 0.8218 0.8218 0.5000  5 Ni 2.29-2.44
As 0.8281 0.3075 0.0000  5 Ni 2.41-2.45

Properties
M_tot (μB per cell): 0.16
Raw total energy (eV per atom): -6.5650

***

Entry from the Materials Project database: a relaxed TaN3O8 crystal (GGA-PBE).

a = 6.4410 Å, b = 6.4410 Å, c = 6.4410 Å
α = 114.06°, β = 114.06°, γ = 100.63°
Closest atoms and distances in Å follow each position.
Fractional coordinates of all 12 atoms:
Ta 0.0000 0.0000 0.0000  8 O 2.06
N 0.2500 0.7500 0.5000  4 O 2.74
N 0.5000 0.5000 0.0000  8 O 2.90-3.17
N 0.7500 0.2500 0.5000  4 O 2.74
O 0.0073 0.0073 0.6865  1 O 1.39
O 0.2013 0.7868 0.0000  1 O 1.39
O 0.2132 0.2132 0.4145  1 O 1.39
O 0.3209 0.3209 0.3135  1 O 1.39
O 0.6791 0.9927 0.0000  1 O 1.39
O 0.7868 0.2013 0.0000  1 O 1.39
O 0.7987 0.7987 0.5855  1 O 1.39
O 0.9927 0.6791 0.0000  1 O 1.39

Properties
M_tot (μB per cell): 6.00
MP2020-corrected energy (eV/atom): -5.67